[1]
The following is a PBE calculation of a geometry-optimized Sr3Sc2N4 structure, from the Materials Project database.

POSCAR file:
```
Sr3Sc2N4
1.0
6.1876 0.0000 0.0000
0.0000 10.9948 0.0000
0.0000 0.0000 9.8829
Sr N Sc
12 16 8
Cartesian
3.8094 3.8029 0.8533
0.7156 3.8029 9.0297
4.6407 5.4974 4.0124
1.5469 5.4974 5.8705
5.4720 7.1919 0.8533
2.3782 9.3003 5.7947
3.8094 1.6945 4.0882
5.4720 9.3003 4.0882
4.6407 0.0000 0.9290
2.3782 7.1919 9.0297
0.7156 1.6945 5.7947
1.5469 0.0000 8.9539
6.1686 6.5780 8.2997
0.7401 9.4090 1.2686
3.1129 1.0806 6.5246
0.0191 1.0806 3.3583
3.8339 9.4090 8.6143
3.8339 7.0832 6.2100
0.0191 4.4168 1.5832
2.3537 1.5858 1.2686
6.1686 9.9142 6.5246
0.7401 7.0832 3.6729
5.4475 3.9116 6.2100
3.1129 4.4168 8.2997
2.3537 3.9116 3.6729
5.4475 1.5858 8.6143
3.0748 6.5780 1.5832
3.0748 9.9142 3.3583
2.1121 8.2461 2.4707
4.0755 2.7487 7.4122
0.9817 2.7487 2.4707
4.6407 5.4974 7.3037
4.6407 0.0000 7.5207
1.5469 5.4974 2.5792
5.2059 8.2461 7.4122
1.5469 0.0000 2.3623
```

Summary:
Energy relative to the lowest polymorph listed for this composition, eV/f.u.: 0.10

[2]
The following is a PBE calculation of a geometry-optimized YScN2 structure, from the Materials Project database.

POSCAR file:
```
YScN2
1.0
5.5327 -1.6720 0.0000
5.5327 1.6720 0.0000
5.0274 0.0000 2.8516
N Sc Y
2 1 1
Cartesian
11.9889 0.0000 2.1244
4.1039 0.0000 0.7272
0.0000 0.0000 0.0000
8.0464 0.0000 1.4258
```

[3]
The following is a PBE calculation of a geometry-optimized Zr3Sc4N8 structure, from the Materials Project database.

POSCAR file:
```
Zr3Sc4N8
1.0
-0.3677 11.0213 14.0264
-3.0659 9.0076 15.0933
0.2482 8.0916 15.9000
Zr Sc N
3 4 8
Cartesian
-0.3659 3.2304 5.1718
-1.5927 14.0603 22.5099
-2.8195 24.8901 39.8480
-0.8498 7.5017 12.0100
-2.0558 18.1488 29.0555
-2.3356 20.6188 33.0098
-1.1296 9.9717 15.9643
-2.5872 22.8398 36.5655
-0.2030 1.7918 2.8687
-1.7928 15.8267 25.3380
-1.3926 12.2938 19.6819
-2.1889 19.3235 30.9360
-0.5982 5.2808 8.4543
-2.9824 26.3287 42.1511
-0.9965 8.7971 14.0838
```

Summary:
Energy relative to the lowest polymorph listed for this composition, eV/f.u.: 0.00

[4]
The following is a PBE calculation of a geometry-optimized Zr3Sc4N8 structure, from the Materials Project database.

POSCAR file:
```
Zr3Sc4N8
1.0
2.8588 0.0000 1.6505
0.9529 2.6953 1.6505
0.4801 0.3395 25.5765
N Zr Sc
8 3 4
Cartesian
1.9814 1.4011 6.4711
2.1453 1.5170 12.7892
2.0520 1.4510 9.6498
2.3104 1.6337 22.4064
2.4398 1.7252 25.4831
1.8519 1.3095 3.3944
2.2397 1.5837 19.2277
2.1464 1.5178 16.0883
4.0588 2.8700 19.3779
0.2329 0.1647 9.4996
0.2400 0.1697 12.7882
4.0306 2.8501 22.7278
0.2416 0.1708 2.8825
0.2611 0.1846 6.1497
4.0502 2.8639 25.9949
```

Summary:
Energy relative to the lowest polymorph listed for this composition, eV/f.u.: 0.24

no.,E (MP2020) (eV/atom),energy of formation from the pure elements (eV per atom)
1,-6.870,-1.1943
2,-9.291,-1.9233
3,-9.410,-1.5652
4,-9.393,-1.5490